This record from the Materials Project describes PrSI after structural relaxation. The functional is GGA-PBE.

a = 7.110 Å, b = 14.489 Å, c = 7.355 Å
α = 90.00°, β = 90.00°, γ = 90.00°
Space group Pbca (No. 61)
Inequivalent atoms, fractional coordinates:
Pr (0.242, 0.084, 0.030) [8 per cell]
S (0.001, 0.023, 0.742) [8 per cell]
I (0.182, 0.700, 0.406) [8 per cell]

Output
ΔH_f (0 K): -2077 meV per atom
E (MP2020): -0.40844 Ry/atom
Uncorrected energy: -5.263 eV/atom